# 1
{
  "formula": "SnH8N2F6",
  "functional": "PBE-GGA",
  "state": "optimized geometry",
  "rho_g_cm3": 2.694,
  "formation_energy_ev_per_atom": -1.56,
  "spacegroup": "P-3m1 (164)",
  "lattice": [[3.143, -5.444, 0.000], [3.143, 5.444, 0.000], [0.000, 0.000, 4.841]],
  "species": ["H", "F", "N", "H", "N", "H", "F", "H", "H", "Sn", "H", "F", "H", "H", "F", "F", "F"],
  "frac_coords": [[0.755, 0.245, 0.443], [0.152, 0.848, 0.233], [0.667, 0.333, 0.365], [0.755, 0.511, 0.443], [0.333, 0.667, 0.635], [0.245, 0.489, 0.557], [0.152, 0.305, 0.233], [0.511, 0.755, 0.557], [0.667, 0.333, 0.153], [0.000, 0.000, 0.000], [0.489, 0.245, 0.443], [0.695, 0.848, 0.233], [0.333, 0.667, 0.847], [0.245, 0.755, 0.557], [0.848, 0.152, 0.767], [0.848, 0.695, 0.767], [0.305, 0.152, 0.767]]
}

# 2
{
  "formula": "PuAg3",
  "functional": "PBE-GGA",
  "state": "optimized geometry",
  "rho_g_cm3": 10.596,
  "formation_energy_ev_per_atom": 0.08,
  "spacegroup": "Fm-3m (225)",
  "lattice": [[0.000, 3.543, 3.543], [3.543, 0.000, 3.543], [3.543, 3.543, 0.000]],
  "species": ["Ag", "Ag", "Ag", "Pu"],
  "frac_coords": [[0.500, 0.500, 0.500], [0.750, 0.750, 0.750], [0.250, 0.250, 0.250], [0.000, 0.000, 0.000]]
}

# 3
{
  "formula": "Sr2EuTaCu2O8",
  "functional": "PBE-GGA",
  "state": "optimized geometry",
  "rho_g_cm3": 6.917,
  "formation_energy_ev_per_atom": -2.66,
  "spacegroup": "P4/mmm (123)",
  "lattice": [[-1.861, 0.118, -3.475], [-1.853, -3.369, 0.878], [-8.789, 6.114, 4.917]],
  "species": ["O", "O", "O", "O", "O", "O", "Ta", "O", "O", "Sr", "Sr", "Eu", "Cu", "Cu"],
  "frac_coords": [[0.000, 0.500, 0.367], [0.000, 0.500, 0.633], [0.000, 0.000, 0.168], [0.500, 0.000, 0.000], [0.500, 0.000, 0.633], [0.500, 0.000, 0.367], [0.000, 0.000, 0.000], [0.000, 0.000, 0.832], [0.000, 0.500, 0.000], [0.500, 0.500, 0.800], [0.500, 0.500, 0.200], [0.500, 0.500, 0.500], [0.000, 0.000, 0.356], [0.000, 0.000, 0.644]]
}

# 4
{
  "formula": "MgUO4",
  "functional": "PBE-GGA",
  "state": "optimized geometry",
  "rho_g_cm3": 7.010,
  "formation_energy_ev_per_atom": -3.46,
  "spacegroup": "Imma (74)",
  "lattice": [[-3.311, 3.352, 3.483], [3.311, -3.352, 3.483], [3.311, 3.352, -3.483]],
  "species": ["O", "O", "O", "Mg", "O", "O", "O", "U", "Mg", "O", "U", "O"],
  "frac_coords": [[0.736, 0.452, 0.688], [0.736, 0.048, 0.283], [0.181, 0.989, 0.191], [0.500, 0.000, 0.500], [0.264, 0.548, 0.312], [0.264, 0.952, 0.717], [0.702, 0.511, 0.191], [0.264, 0.250, 0.014], [0.000, 0.500, 0.500], [0.819, 0.011, 0.809], [0.736, 0.750, 0.986], [0.298, 0.489, 0.809]]
}

# 5
{
  "formula": "Sm11In9Ni4",
  "functional": "PBE-GGA",
  "state": "optimized geometry",
  "rho_g_cm3": 7.623,
  "formation_energy_ev_per_atom": -0.49,
  "spacegroup": "Cmmm (65)",
  "lattice": [[-13.365, 0.360, -2.439], [3.383, -8.907, 9.691], [-0.401, 2.669, 2.593]],
  "species": ["Sm", "Sm", "In", "In", "Ni", "In", "Sm", "Sm", "Sm", "Ni", "In", "In", "In", "Sm", "Sm", "Sm", "Sm", "In", "Sm", "In", "Sm", "In", "Ni", "Ni"],
  "frac_coords": [[0.921, 0.582, 0.000], [0.079, 0.418, 0.000], [0.163, 0.633, 0.500], [0.837, 0.367, 0.500], [0.246, 0.452, 0.500], [0.367, 0.837, 0.500], [0.375, 0.625, 0.000], [0.625, 0.375, 0.000], [0.160, 0.840, 0.000], [0.754, 0.548, 0.500], [0.081, 0.221, 0.500], [0.919, 0.779, 0.500], [0.779, 0.919, 0.500], [0.000, 0.000, 0.000], [0.840, 0.160, 0.000], [0.582, 0.921, 0.000], [0.312, 0.312, 0.000], [0.633, 0.163, 0.500], [0.688, 0.688, 0.000], [0.500, 0.500, 0.500], [0.418, 0.079, 0.000], [0.221, 0.081, 0.500], [0.548, 0.754, 0.500], [0.452, 0.246, 0.500]]
}

# 6
{
  "formula": "BiBr7N6F4",
  "functional": "PBE-GGA",
  "state": "optimized geometry",
  "rho_g_cm3": 3.296,
  "formation_energy_ev_per_atom": 0.70,
  "spacegroup": "Pa-3 (205)",
  "lattice": [[-2.480, 4.442, -11.223], [-0.385, -11.481, -4.459], [-12.064, -0.547, 2.449]],
  "species": ["N", "Br", "N", "Br", "F", "Bi", "N", "Br", "N", "N", "Bi", "Br", "Br", "Br", "F", "Br", "F", "Br", "F", "Br", "Br", "F", "Br", "Br", "N", "Br", "F", "F", "N", "Br", "F", "N", "F", "F", "Br", "N", "Br", "N", "F", "Br", "Br", "N", "Bi", "N", "N", "F", "Br", "N", "Bi", "F", "Br", "N", "Br", "Br", "N", "N", "Br", "N", "Br", "F", "F", "Br", "Br", "N", "N", "F", "Br", "N", "Br", "N", "N", "N"],
  "frac_coords": [[0.189, 0.525, 0.520], [0.601, 0.237, 0.634], [0.025, 0.520, 0.311], [0.737, 0.866, 0.399], [0.910, 0.090, 0.590], [0.500, 0.500, 0.000], [0.975, 0.480, 0.689], [0.500, 0.000, 0.000], [0.020, 0.189, 0.975], [0.525, 0.980, 0.689], [0.000, 0.500, 0.500], [0.634, 0.601, 0.237], [0.134, 0.601, 0.263], [0.763, 0.134, 0.899], [0.090, 0.590, 0.910], [0.737, 0.634, 0.899], [0.288, 0.712, 0.212], [0.237, 0.866, 0.101], [0.090, 0.910, 0.410], [0.866, 0.101, 0.237], [0.601, 0.263, 0.134], [0.410, 0.090, 0.910], [0.263, 0.366, 0.101], [0.101, 0.263, 0.366], [0.480, 0.811, 0.475], [0.101, 0.237, 0.866], [0.712, 0.288, 0.788], [0.910, 0.410, 0.090], [0.689, 0.525, 0.980], [0.000, 0.500, 0.000], [0.212, 0.288, 0.712], [0.189, 0.975, 0.020], [0.590, 0.910, 0.090], [0.410, 0.410, 0.410], [0.263, 0.134, 0.601], [0.020, 0.311, 0.475], [0.500, 0.500, 0.500], [0.475, 0.480, 0.811], [0.788, 0.788, 0.788], [0.237, 0.634, 0.601], [0.899, 0.763, 0.134], [0.980, 0.811, 0.025], [0.500, 0.000, 0.500], [0.525, 0.520, 0.189], [0.689, 0.975, 0.480], [0.590, 0.590, 0.590], [0.366, 0.399, 0.763], [0.811, 0.025, 0.980], [0.000, 0.000, 0.000], [0.212, 0.212, 0.212], [0.366, 0.101, 0.263], [0.811, 0.475, 0.480], [0.399, 0.737, 0.866], [0.399, 0.763, 0.366], [0.520, 0.189, 0.525], [0.480, 0.689, 0.975], [0.899, 0.737, 0.634], [0.025, 0.980, 0.811], [0.000, 0.000, 0.500], [0.712, 0.212, 0.288], [0.788, 0.712, 0.288], [0.763, 0.366, 0.399], [0.134, 0.899, 0.763], [0.520, 0.311, 0.025], [0.975, 0.020, 0.189], [0.288, 0.788, 0.712], [0.866, 0.399, 0.737], [0.311, 0.475, 0.020], [0.634, 0.899, 0.737], [0.980, 0.689, 0.525], [0.475, 0.020, 0.311], [0.311, 0.025, 0.520]]
}

# 7
{
  "formula": "LaPd2O4",
  "functional": "PBE-GGA",
  "state": "optimized geometry",
  "rho_g_cm3": 7.385,
  "formation_energy_ev_per_atom": -1.98,
  "spacegroup": "I4_1/a (88)",
  "lattice": [[-2.999, 2.999, 5.197], [2.999, -2.999, 5.197], [2.999, 2.999, -5.197]],
  "species": ["O", "La", "Pd", "O", "La", "O", "Pd", "O", "O", "O", "O", "Pd", "Pd", "O"],
  "frac_coords": [[0.701, 0.253, 0.857], [0.000, 0.000, 0.000], [0.875, 0.625, 0.250], [0.747, 0.604, 0.448], [0.750, 0.250, 0.500], [0.354, 0.406, 0.357], [0.375, 0.625, 0.250], [0.396, 0.844, 0.143], [0.003, 0.646, 0.052], [0.594, 0.951, 0.948], [0.156, 0.299, 0.552], [0.375, 0.625, 0.750], [0.375, 0.125, 0.750], [0.049, 0.997, 0.643]]
}

# 8
{
  "formula": "UCr5P3",
  "functional": "PBE-GGA",
  "state": "optimized geometry",
  "rho_g_cm3": 8.259,
  "formation_energy_ev_per_atom": -0.53,
  "spacegroup": "P2_1/m (11)",
  "lattice": [[-2.106, 1.383, 2.750], [1.088, -5.608, 3.653], [7.829, 2.822, 4.577]],
  "species": ["U", "P", "P", "P", "P", "P", "P", "Cr", "U", "Cr", "Cr", "Cr", "Cr", "Cr", "Cr", "Cr", "Cr", "Cr"],
  "frac_coords": [[0.250, 0.180, 0.217], [0.250, 0.559, 0.686], [0.250, 0.762, 0.020], [0.750, 0.899, 0.347], [0.750, 0.441, 0.314], [0.250, 0.101, 0.653], [0.750, 0.238, 0.980], [0.250, 0.459, 0.929], [0.750, 0.820, 0.783], [0.750, 0.541, 0.071], [0.250, 0.842, 0.508], [0.750, 0.322, 0.722], [0.750, 0.158, 0.492], [0.250, 0.678, 0.278], [0.750, 0.915, 0.101], [0.750, 0.605, 0.512], [0.250, 0.395, 0.488], [0.250, 0.085, 0.899]]
}

# 9
{
  "formula": "Ho5CoSb2",
  "functional": "PBE-GGA",
  "state": "optimized geometry",
  "rho_g_cm3": 8.984,
  "formation_energy_ev_per_atom": -0.75,
  "spacegroup": "Pnma (62)",
  "lattice": [[7.843, 0.000, 0.000], [0.000, 8.747, 0.000], [0.000, 0.000, 12.147]],
  "species": ["Sb", "Ho", "Sb", "Ho", "Ho", "Sb", "Sb", "Ho", "Ho", "Ho", "Ho", "Ho", "Ho", "Ho", "Sb", "Co", "Ho", "Co", "Ho", "Co", "Sb", "Ho", "Ho", "Co", "Ho", "Ho", "Ho", "Sb", "Ho", "Ho", "Ho", "Sb"],
  "frac_coords": [[0.431, 0.492, 0.173], [0.843, 0.250, 0.796], [0.069, 0.492, 0.673], [0.177, 0.038, 0.935], [0.677, 0.538, 0.565], [0.569, 0.992, 0.827], [0.069, 0.008, 0.673], [0.343, 0.750, 0.704], [0.123, 0.250, 0.193], [0.377, 0.250, 0.693], [0.623, 0.750, 0.307], [0.177, 0.462, 0.935], [0.323, 0.462, 0.435], [0.657, 0.250, 0.296], [0.431, 0.008, 0.173], [0.930, 0.250, 0.010], [0.048, 0.750, 0.498], [0.070, 0.750, 0.990], [0.877, 0.750, 0.807], [0.430, 0.750, 0.490], [0.569, 0.508, 0.827], [0.323, 0.038, 0.435], [0.823, 0.538, 0.065], [0.570, 0.250, 0.510], [0.157, 0.750, 0.204], [0.452, 0.750, 0.998], [0.548, 0.250, 0.002], [0.931, 0.508, 0.327], [0.677, 0.962, 0.565], [0.823, 0.962, 0.065], [0.952, 0.250, 0.502], [0.931, 0.992, 0.327]]
}

# 10
{
  "formula": "Ho2MgSe4",
  "functional": "PBE-GGA",
  "state": "optimized geometry",
  "rho_g_cm3": 6.388,
  "formation_energy_ev_per_atom": -1.93,
  "spacegroup": "Pca2_1 (29)",
  "lattice": [[-9.532, 5.613, 7.182], [1.104, -5.358, 5.653], [9.089, 8.001, 5.809]],
  "species": ["Se", "Ho", "Mg", "Se", "Se", "Mg", "Ho", "Ho", "Ho", "Ho", "Se", "Mg", "Se", "Se", "Ho", "Se", "Ho", "Mg", "Se", "Se", "Mg", "Se", "Se", "Se", "Se", "Se", "Ho", "Ho", "Se", "Se", "Mg", "Ho", "Ho", "Mg", "Se", "Se", "Ho", "Se", "Se", "Se", "Se", "Se", "Se", "Ho", "Se", "Ho", "Ho", "Se", "Se", "Se", "Se", "Se", "Se", "Se", "Mg", "Ho"],
  "frac_coords": [[0.513, 0.123, 0.877], [0.867, 0.371, 0.490], [0.374, 0.879, 0.821], [0.769, 0.872, 0.278], [0.769, 0.368, 0.279], [0.874, 0.121, 0.821], [0.133, 0.129, 0.991], [0.372, 0.381, 0.826], [0.108, 0.883, 0.686], [0.633, 0.371, 0.990], [0.013, 0.877, 0.877], [0.611, 0.617, 0.691], [0.231, 0.632, 0.779], [0.213, 0.380, 0.519], [0.872, 0.619, 0.826], [0.288, 0.879, 0.003], [0.892, 0.117, 0.186], [0.389, 0.383, 0.191], [0.458, 0.873, 0.636], [0.035, 0.376, 0.130], [0.111, 0.383, 0.691], [0.042, 0.873, 0.136], [0.479, 0.373, 0.369], [0.269, 0.632, 0.279], [0.231, 0.128, 0.778], [0.731, 0.368, 0.779], [0.128, 0.381, 0.326], [0.867, 0.871, 0.491], [0.958, 0.127, 0.636], [0.465, 0.376, 0.630], [0.126, 0.879, 0.321], [0.367, 0.629, 0.490], [0.133, 0.629, 0.990], [0.626, 0.121, 0.321], [0.987, 0.123, 0.377], [0.787, 0.620, 0.019], [0.392, 0.883, 0.186], [0.021, 0.373, 0.869], [0.269, 0.128, 0.278], [0.487, 0.877, 0.377], [0.712, 0.121, 0.503], [0.713, 0.620, 0.519], [0.965, 0.624, 0.630], [0.367, 0.129, 0.491], [0.788, 0.121, 0.003], [0.633, 0.871, 0.991], [0.628, 0.619, 0.326], [0.212, 0.879, 0.503], [0.731, 0.872, 0.778], [0.535, 0.624, 0.130], [0.287, 0.380, 0.019], [0.979, 0.627, 0.369], [0.521, 0.627, 0.869], [0.542, 0.127, 0.136], [0.889, 0.617, 0.191], [0.608, 0.117, 0.686]]
}

# 11
{
  "formula": "Ta2P",
  "functional": "PBE-GGA",
  "state": "optimized geometry",
  "rho_g_cm3": 13.552,
  "formation_energy_ev_per_atom": -0.74,
  "spacegroup": "Pnnm (58)",
  "lattice": [[3.417, 0.000, 0.000], [0.000, 11.635, 0.000], [0.000, 0.000, 14.530]],
  "species": ["Ta", "Ta", "Ta", "Ta", "P", "Ta", "Ta", "Ta", "Ta", "Ta", "P", "Ta", "P", "P", "P", "P", "Ta", "Ta", "Ta", "P", "Ta", "Ta", "P", "Ta", "Ta", "Ta", "Ta", "Ta", "Ta", "P", "P", "P", "P", "Ta", "Ta", "Ta"],
  "frac_coords": [[0.000, 0.470, 0.391], [0.000, 0.197, 0.795], [0.500, 0.970, 0.109], [0.500, 0.623, 0.922], [0.500, 0.744, 0.083], [0.000, 0.877, 0.422], [0.000, 0.587, 0.080], [0.000, 0.530, 0.609], [0.000, 0.803, 0.205], [0.000, 0.848, 0.977], [0.500, 0.184, 0.152], [0.000, 0.152, 0.023], [0.000, 0.244, 0.417], [0.000, 0.684, 0.348], [0.000, 0.316, 0.652], [0.000, 0.578, 0.795], [0.500, 0.652, 0.477], [0.500, 0.697, 0.705], [0.500, 0.348, 0.523], [0.500, 0.078, 0.705], [0.000, 0.413, 0.920], [0.000, 0.078, 0.255], [0.500, 0.256, 0.917], [0.500, 0.578, 0.245], [0.500, 0.087, 0.420], [0.000, 0.922, 0.745], [0.000, 0.123, 0.578], [0.500, 0.913, 0.580], [0.500, 0.377, 0.078], [0.000, 0.422, 0.205], [0.000, 0.756, 0.583], [0.500, 0.816, 0.848], [0.500, 0.922, 0.295], [0.500, 0.030, 0.891], [0.500, 0.303, 0.295], [0.500, 0.422, 0.755]]
}

# 12
{
  "formula": "RbMg14SiO16",
  "functional": "PBE-GGA",
  "state": "optimized geometry",
  "rho_g_cm3": 3.510,
  "formation_energy_ev_per_atom": -2.72,
  "spacegroup": "Pmmm (47)",
  "lattice": [[-6.128, 3.936, 4.837], [0.256, -6.425, 5.552], [3.222, 2.147, 2.336]],
  "species": ["Mg", "O", "Rb", "O", "O", "O", "Mg", "Mg", "Mg", "O", "O", "Mg", "Mg", "O", "O", "Mg", "Mg", "Si", "O", "O", "O", "O", "O", "Mg", "Mg", "Mg", "Mg", "O", "O", "Mg", "Mg", "O"],
  "frac_coords": [[0.255, 0.500, 0.500], [0.500, 0.000, 0.500], [0.000, 0.500, 0.000], [0.249, 0.751, 0.500], [0.000, 0.500, 0.500], [0.000, 0.000, 0.500], [0.500, 0.500, 0.000], [0.749, 0.000, 0.500], [0.740, 0.251, 0.000], [0.500, 0.241, 0.000], [0.000, 0.204, 0.000], [0.500, 0.749, 0.500], [0.745, 0.500, 0.500], [0.751, 0.751, 0.500], [0.500, 0.759, 0.000], [0.500, 0.251, 0.500], [0.000, 0.750, 0.500], [0.000, 0.000, 0.000], [0.244, 0.000, 0.000], [0.249, 0.249, 0.500], [0.751, 0.249, 0.500], [0.280, 0.500, 0.000], [0.000, 0.796, 0.000], [0.740, 0.749, 0.000], [0.000, 0.250, 0.500], [0.251, 0.000, 0.500], [0.260, 0.749, 0.000], [0.500, 0.500, 0.500], [0.756, 0.000, 0.000], [0.500, 0.000, 0.000], [0.260, 0.251, 0.000], [0.720, 0.500, 0.000]]
}